Below is a relaxed structure of Rb2Nb3C3S3N3Cl6O2, with properties calculated at the PBE level.

a = 9.1106 Å, b = 12.1257 Å, c = 12.1385 Å
α = 115.40°, β = 99.22°, γ = 101.43°
Sites, in units of the cell vectors:
Cl 0.2285 0.8087 0.5182
Cl 0.6396 0.8644 0.2795
Cl 0.0232 0.1149 0.8176
Cl 0.6640 0.9811 0.5988
Cl 0.3604 0.1356 0.7205
Cl 0.8956 0.7890 0.6152
Cl 0.9768 0.8851 0.1824
Cl 0.1309 0.3256 0.7014
Cl 0.8691 0.6744 0.2986
Cl 0.3360 0.0189 0.4012
Cl 0.7715 0.1913 0.4818
Cl 0.1044 0.2110 0.3848
S 0.6834 0.1037 0.9931
S 0.7291 0.4520 0.9536
S 0.6606 0.5013 0.6227
S 0.2709 0.5480 0.0464
S 0.3394 0.4987 0.3773
S 0.3166 0.8963 0.0069
Rb 0.5188 0.7681 0.7365
Rb 0.9933 0.3764 0.1477
Rb 0.4812 0.2319 0.2635
Rb 0.0067 0.6236 0.8523
N 0.1805 0.7307 0.2360
N 0.8195 0.2693 0.7640
N 0.2208 0.9341 0.7981
N 0.4095 0.3030 0.5874
N 0.5905 0.6970 0.4126
N 0.7792 0.0659 0.2019
O 0.1634 0.5885 0.6503
O 0.1553 0.1796 0.1146
O 0.8447 0.8204 0.8854
O 0.8366 0.4115 0.3497
Nb 0.1124 0.9676 0.6492
Nb 0.7941 0.8476 0.4544
Nb 0.8876 0.0324 0.3508
Nb 0.9103 0.1354 0.6325
Nb 0.2059 0.1524 0.5456
Nb 0.0897 0.8646 0.3675
C 0.4833 0.6109 0.3946
C 0.5167 0.3891 0.6054
C 0.2598 0.9198 0.8887
C 0.7797 0.3465 0.8446
C 0.2203 0.6535 0.1554
C 0.7402 0.0802 0.1113

Values from the calculation:
Final energy: -5.87 eV per atom
Space group: No. 2
Density: 2.5 g/cm³
ΔH_f (0 K): -0.621 eV/atom
M_tot: 6.0 μB per cell